# 1
Computed, not measured: an optimized crystal structure of Eu3AuO6 at the meta-GGA r2SCAN level of DFT.

abc: 3.7461 5.6097 7.0425
angles: 91.06 103.38 90.78
Positions (direct):
1 Eu 0.0000 0.0000 0.0000
2 Eu 0.3861 0.4746 0.7299
3 Eu 0.6139 0.5254 0.2701
4 Au 0.0000 0.0000 0.5000
5 O 0.1266 0.7898 0.2945
6 O 0.1621 0.2975 0.3853
7 O 0.4863 0.7461 0.9800
8 O 0.5137 0.2539 0.0200
9 O 0.8379 0.7025 0.6147
10 O 0.8734 0.2102 0.7055

***

# 2
Computed, not measured: an optimized crystal structure of EuPAu at the meta-GGA r2SCAN level of DFT.

abc: 4.2896 4.2896 8.3201
angles: 90.00 90.00 120.00
Positions (direct):
1 Eu 0.0000 0.0000 0.0000
2 Eu 0.0000 0.0000 0.5000
3 P 0.3333 0.6667 0.2500
4 P 0.6667 0.3333 0.7500
5 Au 0.3333 0.6667 0.7500
6 Au 0.6667 0.3333 0.2500

***

# 3
Computed, not measured: an optimized crystal structure of EuSi2Au2 at the meta-GGA r2SCAN level of DFT.

abc: 4.3570 4.3570 10.1358
angles: 90.00 90.00 90.00
Positions (direct):
1 Eu 0.0000 0.0000 0.0000
2 Eu 0.5000 0.5000 0.5000
3 Si 0.0000 0.0000 0.3847
4 Si 0.0000 0.0000 0.6153
5 Si 0.5000 0.5000 0.1153
6 Si 0.5000 0.5000 0.8847
7 Au 0.0000 0.5000 0.2500
8 Au 0.0000 0.5000 0.7500
9 Au 0.5000 0.0000 0.2500
10 Au 0.5000 0.0000 0.7500

***

no.,VASP energy (eV for the cell shown),formation energy (eV per atom),calculated volume (Å³/f.u.)
1,-226.1,-2.41,143.93
2,-202.6,-1.07,66.29
3,-320.4,-0.59,96.20